# K2TcF6 (r²SCAN, optimized geometry)
# Energy of formation from the pure elements, meV/atom: -2840
data_K2TcF6
_chemical_formula_sum 'K2 Tc1 F6'
_space_group_name_H-M_alt 'P -3 m 1'
_space_group_IT_number 164
_space_group_name_Hall '-P 3 2"'
_cell_length_a 5.7822
_cell_length_b 5.7822
_cell_length_c 4.5501
_cell_angle_alpha 90.00
_cell_angle_beta 90.00
_cell_angle_gamma 120.00
loop_
_atom_site_label
_atom_site_fract_x
_atom_site_fract_y
_atom_site_fract_z
K1 0.3333 0.6667 0.2063
Tc1 0.0000 0.0000 0.5000
F1 0.1632 0.3264 0.7312

# K2ThF6 (r²SCAN, optimized geometry)
# Energy of formation from the pure elements, meV/atom: -3880
data_K2ThF6
_chemical_formula_sum 'K2 Th1 F6'
_space_group_name_H-M_alt 'P -6 2 m'
_space_group_IT_number 189
_space_group_name_Hall 'P -6 -2'
_cell_length_a 6.5523
_cell_length_b 6.5523
_cell_length_c 3.8092
_cell_angle_alpha 90.00
_cell_angle_beta 90.00
_cell_angle_gamma 120.00
loop_
_atom_site_label
_atom_site_fract_x
_atom_site_fract_y
_atom_site_fract_z
K1 0.3333 0.6667 0.0000
Th1 0.0000 0.0000 0.5000
F1 0.0000 0.2302 0.0000
F2 0.0000 0.6495 0.5000

# KTh2F9 (r²SCAN, optimized geometry)
# Energy of formation from the pure elements, meV/atom: -4259
data_KTh2F9
_chemical_formula_sum 'K4 Th8 F36'
_space_group_name_H-M_alt 'P n m a'
_space_group_IT_number 62
_space_group_name_Hall '-P 2ac 2n'
_cell_length_a 8.8571
_cell_length_b 11.6437
_cell_length_c 7.1703
_cell_angle_alpha 90.00
_cell_angle_beta 90.00
_cell_angle_gamma 90.00
loop_
_atom_site_label
_atom_site_fract_x
_atom_site_fract_y
_atom_site_fract_z
K1 0.0350 0.2500 0.1455
Th1 0.1749 0.0500 0.6538
F1 0.0032 0.5995 0.5767
F2 0.0647 0.5802 0.1987
F3 0.1759 0.2500 0.6633
F4 0.2080 0.0968 0.9732
F5 0.2146 0.6079 0.8573

# K2ThF6 (r²SCAN, optimized geometry)
# Energy of formation from the pure elements, meV/atom: -3858
data_K2ThF6
_chemical_formula_sum 'K8 Th4 F24'
_space_group_name_H-M_alt 'C 1 2/c 1'
_space_group_IT_number 15
_space_group_name_Hall '-C 2yc'
_cell_length_a 7.2752
_cell_length_b 12.5987
_cell_length_c 7.1967
_cell_angle_alpha 90.00
_cell_angle_beta 108.01
_cell_angle_gamma 90.00
loop_
_atom_site_label
_atom_site_fract_x
_atom_site_fract_y
_atom_site_fract_z
K1 0.0000 0.0873 0.2500
K2 0.0000 0.2397 0.7500
Th1 0.0000 0.4161 0.2500
F1 0.0954 0.4269 0.6072
F2 0.1105 0.2715 0.1311
F3 0.1736 0.0740 0.6330

# K2ThF6 (r²SCAN, optimized geometry)
# Energy of formation from the pure elements, meV/atom: -3862
data_K2ThF6
_chemical_formula_sum 'K4 Th2 F12'
_space_group_name_H-M_alt 'I m m m'
_space_group_IT_number 71
_space_group_name_Hall '-I 2 2'
_cell_length_a 4.1545
_cell_length_b 6.0859
_cell_length_c 12.4970
_cell_angle_alpha 90.00
_cell_angle_beta 90.00
_cell_angle_gamma 90.00
loop_
_atom_site_label
_atom_site_fract_x
_atom_site_fract_y
_atom_site_fract_z
K1 0.0000 0.0000 0.1701
Th1 0.0000 0.0000 0.5000
F1 0.0000 0.2275 0.3564
F2 0.0000 0.2932 0.0000

# KTh6F25 (r²SCAN, optimized geometry)
# Energy of formation from the pure elements, meV/atom: -4365
data_KTh6F25
_chemical_formula_sum 'K1 Th6 F25'
_space_group_name_H-M_alt 'P 1'
_space_group_IT_number 1
_space_group_name_Hall 'P 1'
_cell_length_a 8.2976
_cell_length_b 8.2977
_cell_length_c 9.7044
_cell_angle_alpha 90.03
_cell_angle_beta 115.28
_cell_angle_gamma 119.99
loop_
_atom_site_label
_atom_site_fract_x
_atom_site_fract_y
_atom_site_fract_z
K1 0.0000 0.0000 0.0000
Th1 0.1852 0.5979 0.2719
Th2 0.3181 0.4140 0.7232
Th3 0.3186 0.9152 0.7232
Th4 0.6843 0.0973 0.2718
Th5 0.6844 0.5983 0.2721
Th6 0.8173 0.4144 0.7230
F1 0.0006 0.1819 0.4977
F2 0.0022 0.8304 0.4974
F3 0.0035 0.5073 0.9975
F4 0.0585 0.3158 0.8031
F5 0.0592 0.7545 0.8040
F6 0.1003 0.5559 0.6466
F7 0.2562 0.1336 0.8059
F8 0.3213 0.4511 0.1920
F9 0.3210 0.8806 0.1911
F10 0.3236 0.5049 0.4971
F11 0.3257 0.8293 0.4980
F12 0.4218 0.2168 0.6285
F13 0.4970 0.7538 0.8046
F14 0.5001 0.0041 0.9976
F15 0.4999 0.5075 0.9978
F16 0.5064 0.2588 0.1901
F17 0.5804 0.7958 0.3655
F18 0.6769 0.1831 0.4969
F19 0.6783 0.5074 0.4979
F20 0.6814 0.1329 0.8047
F21 0.6819 0.5601 0.8058
F22 0.7511 0.8811 0.1913
F23 0.9029 0.4573 0.3491
F24 0.9409 0.2584 0.1892
F25 0.9424 0.6952 0.1900

# KTh6F25 (r²SCAN, optimized geometry)
# Energy of formation from the pure elements, meV/atom: -4365
data_KTh6F25
_chemical_formula_sum 'K3 Th18 F75'
_space_group_name_H-M_alt 'R -3 m'
_space_group_IT_number 166
_space_group_name_Hall '-R 3 2"'
_cell_length_a 8.2955
_cell_length_b 8.2955
_cell_length_c 25.3275
_cell_angle_alpha 90.00
_cell_angle_beta 90.00
_cell_angle_gamma 120.00
loop_
_atom_site_label
_atom_site_fract_x
_atom_site_fract_y
_atom_site_fract_z
K1 0.0000 0.0000 0.0000
Th1 0.0007 0.5003 0.9086
F1 0.0000 0.0000 0.2104
F2 0.0000 0.0000 0.4504
F3 0.0000 0.3238 0.5000
F4 0.0000 0.5000 0.0000
F5 0.0420 0.5210 0.2691
F6 0.0483 0.5241 0.3975

# K5Ti3F14 (r²SCAN, optimized geometry)
# Energy of formation from the pure elements, meV/atom: -3409
data_K5Ti3F14
_chemical_formula_sum 'K10 Ti6 F28'
_space_group_name_H-M_alt 'P 4/m n c'
_space_group_IT_number 128
_space_group_name_Hall '-P 4 2n'
_cell_length_a 7.7100
_cell_length_b 7.7100
_cell_length_c 11.5963
_cell_angle_alpha 90.00
_cell_angle_beta 90.00
_cell_angle_gamma 90.00
loop_
_atom_site_label
_atom_site_fract_x
_atom_site_fract_y
_atom_site_fract_z
K1 0.0000 0.0000 0.0000
K2 0.2128 0.2872 0.2500
Ti1 0.0000 0.0000 0.5000
Ti2 0.0000 0.5000 0.0000
F1 0.0000 0.0000 0.3326
F2 0.0480 0.6793 0.1146
F3 0.0772 0.2494 0.5000

# KTlF4 (r²SCAN, optimized geometry)
# Energy of formation from the pure elements, meV/atom: -2391
data_KTlF4
_chemical_formula_sum 'K6 Tl6 F24'
_space_group_name_H-M_alt 'P 31'
_space_group_IT_number 144
_space_group_name_Hall 'P 31'
_cell_length_a 8.0723
_cell_length_b 8.0723
_cell_length_c 10.1780
_cell_angle_alpha 90.00
_cell_angle_beta 90.00
_cell_angle_gamma 120.00
loop_
_atom_site_label
_atom_site_fract_x
_atom_site_fract_y
_atom_site_fract_z
K1 0.0190 0.8353 0.0000
K2 0.5012 0.3481 0.0227
Tl1 0.1586 0.6720 0.3402
Tl2 0.3266 0.0240 0.6761
F1 0.0107 0.4070 0.2243
F2 0.0418 0.8662 0.7450
F3 0.0596 0.3380 0.7859
F4 0.1524 0.4617 0.4884
F5 0.2040 0.1918 0.5851
F6 0.2731 0.5490 0.0062
F7 0.4526 0.3212 0.7703
F8 0.5280 0.3865 0.2822

# K3TlF6 (r²SCAN, optimized geometry)
# Energy of formation from the pure elements, meV/atom: -2619
data_K3TlF6
_chemical_formula_sum 'K12 Tl4 F24'
_space_group_name_H-M_alt 'P n -3'
_space_group_IT_number 201
_cell_length_a 9.0970
_cell_length_b 9.0970
_cell_length_c 9.0970
_cell_angle_alpha 90.00
_cell_angle_beta 90.00
_cell_angle_gamma 90.00
loop_
_space_group_symop_operation_xyz
'x,y,z'
'-x,-y,-z'
'-x+1/2,-y+1/2,z'
'x+1/2,y+1/2,-z'
'x,-y+1/2,-z+1/2'
'-x,y+1/2,z+1/2'
'-x+1/2,y,-z+1/2'
'x+1/2,-y,z+1/2'
'z,x,y'
'-z,-x,-y'
'z,-x+1/2,-y+1/2'
'-z,x+1/2,y+1/2'
'-z+1/2,x,-y+1/2'
'z+1/2,-x,y+1/2'
'-z+1/2,-x+1/2,y'
'z+1/2,x+1/2,-y'
'y,z,x'
'-y,-z,-x'
'-y+1/2,z,-x+1/2'
'y+1/2,-z,x+1/2'
'-y+1/2,-z+1/2,x'
'y+1/2,z+1/2,-x'
'y,-z+1/2,-x+1/2'
'-y,z+1/2,x+1/2'
loop_
_atom_site_label
_atom_site_fract_x
_atom_site_fract_y
_atom_site_fract_z
K1 0.0000 0.0000 0.0000
K2 0.2500 0.2500 0.2500
K3 0.2500 0.2500 0.7500
Tl1 0.0000 0.0000 0.5000
F1 0.0414 0.5555 0.7716

# K2TmF5 (r²SCAN, optimized geometry)
# Energy of formation from the pure elements, meV/atom: -3789
data_K2TmF5
_chemical_formula_sum 'K8 Tm4 F20'
_space_group_name_H-M_alt 'P n m a'
_space_group_IT_number 62
_space_group_name_Hall '-P 2ac 2n'
_cell_length_a 10.6890
_cell_length_b 7.1107
_cell_length_c 6.5184
_cell_angle_alpha 90.00
_cell_angle_beta 90.00
_cell_angle_gamma 90.00
loop_
_atom_site_label
_atom_site_fract_x
_atom_site_fract_y
_atom_site_fract_z
K1 0.1711 0.0036 0.0369
Tm1 0.0026 0.2500 0.5641
F1 0.0132 0.2500 0.8922
F2 0.0747 0.5356 0.6472
F3 0.1653 0.2500 0.3722
F4 0.1905 0.7500 0.3415